Entry 1:
# NaCO3, relaxed, DFT meta-GGA r2SCAN
# ΔH_f (0 K) ... -1437 meV per atom
# Electronic total energy ... -7.7228 eV/atom
data_NaCO3
_cell_length_a 3.461
_cell_length_b 9.152
_cell_length_c 8.213
_cell_angle_alpha 90.00
_cell_angle_beta 108.11
_cell_angle_gamma 90.00
_symmetry_space_group_name_H-M 'P 1 21/c 1'
_symmetry_Int_Tables_number 14
loop_
_symmetry_equiv_pos_as_xyz
'x,y,z'
'-x,-y,-z'
'-x,y+1/2,-z+1/2'
'x,-y+1/2,z+1/2'
loop_
_atom_site_label
_atom_site_fract_x
_atom_site_fract_y
_atom_site_fract_z
_atom_site_occupancy
Na1 0.077 0.001 0.300 1
C1 0.304 0.227 0.060 1
O1 0.074 0.158 0.931 1
O2 0.324 0.135 0.564 1
O3 0.499 0.144 0.183 1

Entry 2:
# NaCO3, relaxed, DFT meta-GGA r2SCAN
# ΔH_f (0 K) ... -1439 meV per atom
# Electronic total energy ... -7.7246 eV/atom
data_NaCO3
_cell_length_a 5.0452
_cell_length_b 5.0452
_cell_length_c 16.8474
_cell_angle_alpha 90.00
_cell_angle_beta 90.00
_cell_angle_gamma 120.00
_symmetry_space_group_name_H-M 'R -3 c'
_symmetry_Int_Tables_number 167
_symmetry_space_group_name_Hall '-R 3 2"c'
loop_
_atom_site_label
_atom_site_fract_x
_atom_site_fract_y
_atom_site_fract_z
_atom_site_occupancy
Na1 0.0000 0.0000 0.0000 1
C1 0.0000 0.0000 0.2500 1
O1 0.0000 0.2520 0.2500 1

Entry 3:
# Na2ScPCO7, relaxed, DFT meta-GGA r2SCAN
# ΔH_f (0 K) ... -2528 meV per atom
# Electronic total energy ... -9.1350 eV/atom
data_Na2ScPCO7
_cell_length_a 5.189
_cell_length_b 6.671
_cell_length_c 9.002
_cell_angle_alpha 90.00
_cell_angle_beta 90.03
_cell_angle_gamma 90.00
_symmetry_space_group_name_H-M 'P 1 21/m 1'
_symmetry_Int_Tables_number 11
loop_
_symmetry_equiv_pos_as_xyz
'x,y,z'
'-x,-y,-z'
'-x,y+1/2,-z'
'x,-y+1/2,z'
loop_
_atom_site_label
_atom_site_fract_x
_atom_site_fract_y
_atom_site_fract_z
_atom_site_occupancy
Na1 0.239 0.004 0.279 1
Sc1 0.212 0.250 0.861 1
P1 0.291 0.750 0.924 1
C1 0.272 0.250 0.578 1
O1 0.044 0.250 0.639 1
O2 0.181 0.750 0.084 1
O3 0.199 0.562 0.843 1
O4 0.309 0.250 0.441 1
O5 0.411 0.250 0.065 1
O6 0.462 0.250 0.675 1